Model 1:
MoWO6: optimized geometry, PBE with a Hubbard U.

## Properties
Piezoelectric modulus e_max, C/m2: 10.92

abc: 9.451 5.490 5.534
angles: 90.00 125.56 90.00
Space group Cm (No. 8)
Inequivalent atoms, fractional coordinates:
Mo 0.000 0.000 0.000 x2
W 0.000 0.500 0.499 x2
O 0.239 0.000 0.199 x2
O 0.241 0.500 0.696 x2
O 0.488 0.251 0.203 x4
O 0.490 0.255 0.702 x4

Model 2:
MoWO6: optimized geometry, PBE with a Hubbard U.

abc: 5.558 5.561 7.558
angles: 90.00 90.03 90.00
Space group Cm (No. 8)
Inequivalent atoms, fractional coordinates:
Mo 0.000 0.000 0.000 x2
W 0.125 0.000 0.500 x2
O 0.076 0.000 0.246 x2
O 0.077 0.000 0.750 x2
O 0.298 0.255 0.998 x4
O 0.347 0.247 0.498 x4

Model 3:
MoWO6: optimized geometry, PBE with a Hubbard U.

abc: 5.365 5.425 9.322
angles: 90.00 125.10 90.00
Space group P2_1/c (No. 14)
Inequivalent atoms, fractional coordinates:
Mo 0.000 0.000 0.000 x2
W 0.500 0.000 0.500 x2
O 0.194 0.006 0.249 x4
O 0.251 0.724 0.028 x4
O 0.305 0.223 0.028 x4

Relative stability in meV per atom, measured from the most stable structure: model 1 13; model 2 0; model 3 30

Model 1:
MoW2O8: optimized geometry, PBE with a Hubbard U.

abc: 5.146 5.425 6.937
angles: 109.09 92.80 104.33
Space group P-1 (No. 2)
Inequivalent atoms, fractional coordinates:
Mo 0.000 0.000 0.000 x1
W 0.263 0.468 0.815 x2
O 0.073 0.769 0.164 x2
O 0.133 0.736 0.769 x2
O 0.338 0.291 0.579 x2
O 0.377 0.295 0.027 x2

Model 2:
MoW2O8: optimized geometry, PBE with a Hubbard U.

abc: 5.060 5.853 10.846
angles: 90.00 117.74 90.00
Space group P2/c (No. 13)
Inequivalent atoms, fractional coordinates:
Mo 0.000 0.155 0.250 x2
W 0.228 0.330 0.993 x4
O 0.174 0.394 0.609 x4
O 0.214 0.156 0.132 x4
O 0.249 0.101 0.881 x4
O 0.315 0.391 0.395 x4

Relative stability in meV per atom, measured from the most stable structure: model 1 51; model 2 0

Model 1:
YMoW2O8: optimized geometry, PBE with a Hubbard U.

abc: 5.195 5.980 6.415
angles: 62.92 70.27 88.18
Space group P1 (No. 1)
Inequivalent atoms, fractional coordinates:
Y 0.000 0.000 0.000 x1
Mo 0.452 0.548 0.018 x1
W 0.190 0.737 0.517 x1
W 0.703 0.399 0.505 x1
O 0.092 0.584 0.301 x1
O 0.180 0.048 0.265 x1
O 0.221 0.795 0.788 x1
O 0.311 0.365 0.698 x1
O 0.611 0.762 0.326 x1
O 0.681 0.322 0.266 x1
O 0.762 0.099 0.737 x1
O 0.805 0.557 0.717 x1

Model 2:
YMoW2O8: optimized geometry, PBE with a Hubbard U.

abc: 5.385 5.822 11.108
angles: 90.00 116.47 90.00
Space group P2/c (No. 13)
Inequivalent atoms, fractional coordinates:
Y 0.000 0.170 0.250 x2
Mo 0.500 0.160 0.750 x2
W 0.244 0.344 0.997 x4
O 0.172 0.394 0.610 x4
O 0.249 0.126 0.126 x4
O 0.268 0.136 0.863 x4
O 0.326 0.388 0.403 x4

Relative stability in meV per atom, measured from the most stable structure: model 1 139; model 2 0